1.
Material: Ba4SiGeS8
Method: DFT, PBE-GGA
State: relaxed

Summary:
As for the symmetry: Pmc2_1. As for the energy relative to the elements: -1807.7 meV/atom. Its spin magnetization is 0.0 μB/f.u.

Cell: 6.860 12.465 9.064 Å, 90.00 90.00 90.00°
Fractional coordinates of all 28 atoms:
Ba 0.000 0.081 0.000
Ba 0.000 0.328 0.353
Ba 0.000 0.672 0.853
Ba 0.000 0.919 0.500
Ba 0.500 0.167 0.609
Ba 0.500 0.418 0.962
Ba 0.500 0.582 0.462
Ba 0.500 0.833 0.109
Si 0.500 0.175 0.212
Si 0.500 0.825 0.712
Ge 0.000 0.326 0.751
Ge 0.000 0.674 0.251
S 0.000 0.156 0.671
S 0.000 0.348 0.994
S 0.000 0.652 0.494
S 0.000 0.844 0.171
S 0.246 0.106 0.305
S 0.246 0.894 0.805
S 0.266 0.394 0.652
S 0.266 0.606 0.152
S 0.500 0.155 0.978
S 0.500 0.338 0.287
S 0.500 0.662 0.787
S 0.500 0.845 0.478
S 0.734 0.394 0.652
S 0.734 0.606 0.152
S 0.754 0.106 0.305
S 0.754 0.894 0.805

2.
Material: TaMn2B4
Method: DFT, PBE-GGA
State: relaxed

Summary:
As for the symmetry: Immm. As for the energy relative to the elements: -588.9 meV/atom.

Cell: 3.043 3.159 12.908 Å, 90.00 90.00 90.00°
Fractional coordinates of all 14 atoms:
Ta 0.000 0.000 0.000
Ta 0.500 0.500 0.500
Mn 0.000 0.500 0.312
Mn 0.000 0.500 0.688
Mn 0.500 0.000 0.188
Mn 0.500 0.000 0.812
B 0.000 0.000 0.427
B 0.000 0.000 0.573
B 0.000 0.500 0.147
B 0.000 0.500 0.853
B 0.500 0.000 0.353
B 0.500 0.000 0.647
B 0.500 0.500 0.073
B 0.500 0.500 0.927

3.
Material: CsAlBr4
Method: DFT, PBE-GGA
State: relaxed

Summary:
As for the symmetry: Pnma. As for the energy relative to the elements: -1815.3 meV/atom.

Cell: 12.595 7.749 10.243 Å, 90.00 90.00 90.00°
Fractional coordinates of all 24 atoms:
Cs 0.179 0.250 0.175
Cs 0.321 0.750 0.675
Cs 0.679 0.250 0.325
Cs 0.821 0.750 0.825
Al 0.071 0.250 0.693
Al 0.429 0.750 0.193
Al 0.571 0.250 0.807
Al 0.929 0.750 0.307
Br 0.083 0.008 0.828
Br 0.083 0.492 0.828
Br 0.089 0.750 0.418
Br 0.216 0.250 0.553
Br 0.284 0.750 0.053
Br 0.411 0.250 0.918
Br 0.417 0.508 0.328
Br 0.417 0.992 0.328
Br 0.583 0.008 0.672
Br 0.583 0.492 0.672
Br 0.589 0.750 0.082
Br 0.716 0.250 0.947
Br 0.784 0.750 0.447
Br 0.911 0.250 0.582
Br 0.917 0.508 0.172
Br 0.917 0.992 0.172

4.
Material: Al3P4O16
Method: DFT, PBE-GGA
State: relaxed

Summary:
As for the symmetry: P-3c1. As for the energy relative to the elements: -2641.8 meV/atom. Its spin magnetization is 3.0 μB/f.u.

Cell: 13.168 13.168 18.370 Å, 90.00 90.00 120.00°
Fractional coordinates of all 92 atoms:
Al 0.145 0.475 0.490
Al 0.145 0.670 0.990
Al 0.330 0.475 0.990
Al 0.330 0.855 0.490
Al 0.475 0.145 0.010
Al 0.475 0.330 0.510
Al 0.525 0.670 0.490
Al 0.525 0.855 0.990
Al 0.670 0.145 0.510
Al 0.670 0.525 0.010
Al 0.855 0.330 0.010
Al 0.855 0.525 0.510
P 0.094 0.428 0.926
P 0.094 0.666 0.426
P 0.333 0.667 0.096
P 0.333 0.667 0.596
P 0.334 0.428 0.426
P 0.334 0.906 0.926
P 0.428 0.094 0.574
P 0.428 0.334 0.074
P 0.572 0.666 0.926
P 0.572 0.906 0.426
P 0.666 0.094 0.074
P 0.666 0.572 0.574
P 0.667 0.333 0.404
P 0.667 0.333 0.904
P 0.906 0.334 0.574
P 0.906 0.572 0.074
O 0.005 0.367 0.517
O 0.005 0.638 0.017
O 0.047 0.382 0.849
O 0.047 0.666 0.349
O 0.139 0.561 0.932
O 0.139 0.577 0.432
O 0.195 0.405 0.945
O 0.195 0.790 0.445
O 0.210 0.405 0.445
O 0.210 0.805 0.945
O 0.228 0.551 0.567
O 0.228 0.677 0.067
O 0.323 0.551 0.067
O 0.323 0.772 0.567
O 0.333 0.667 0.179
O 0.333 0.667 0.679
O 0.334 0.382 0.349
O 0.334 0.953 0.849
O 0.362 0.367 0.017
O 0.362 0.995 0.517
O 0.367 0.005 0.983
O 0.367 0.362 0.483
O 0.382 0.047 0.651
O 0.382 0.334 0.151
O 0.405 0.195 0.555
O 0.405 0.210 0.055
O 0.423 0.561 0.432
O 0.423 0.861 0.932
O 0.439 0.577 0.932
O 0.439 0.861 0.432
O 0.449 0.677 0.567
O 0.449 0.772 0.067
O 0.551 0.228 0.933
O 0.551 0.323 0.433
O 0.561 0.139 0.568
O 0.561 0.423 0.068
O 0.577 0.139 0.068
O 0.577 0.439 0.568
O 0.595 0.790 0.945
O 0.595 0.805 0.445
O 0.618 0.666 0.849
O 0.618 0.953 0.349
O 0.633 0.638 0.517
O 0.633 0.995 0.017
O 0.638 0.005 0.483
O 0.638 0.633 0.983
O 0.666 0.047 0.151
O 0.666 0.618 0.651
O 0.667 0.333 0.321
O 0.667 0.333 0.821
O 0.677 0.228 0.433
O 0.677 0.449 0.933
O 0.772 0.323 0.933
O 0.772 0.449 0.433
O 0.790 0.195 0.055
O 0.790 0.595 0.555
O 0.805 0.210 0.555
O 0.805 0.595 0.055
O 0.861 0.423 0.568
O 0.861 0.439 0.068
O 0.953 0.334 0.651
O 0.953 0.618 0.151
O 0.995 0.362 0.983
O 0.995 0.633 0.483

5.
Material: Pr2SiTeO4
Method: DFT, PBE-GGA
State: relaxed

Summary:
As for the symmetry: P2_1/c. As for the energy relative to the elements: -3209.5 meV/atom. Its spin magnetization is 0.0 μB/f.u. The relative energy among the computed polymorphs is 6 meV/atom.

Cell: 10.018 6.526 8.836 Å, 90.00 94.80 90.00°
Fractional coordinates of all 32 atoms:
Pr 0.105 0.152 0.194
Pr 0.105 0.348 0.694
Pr 0.347 0.695 0.335
Pr 0.347 0.805 0.835
Pr 0.653 0.195 0.165
Pr 0.653 0.305 0.665
Pr 0.895 0.652 0.306
Pr 0.895 0.848 0.806
Si 0.126 0.690 0.057
Si 0.126 0.810 0.557
Si 0.874 0.190 0.443
Si 0.874 0.310 0.943
Te 0.406 0.213 0.384
Te 0.406 0.287 0.884
Te 0.594 0.713 0.116
Te 0.594 0.787 0.616
O 0.017 0.194 0.922
O 0.017 0.306 0.422
O 0.126 0.633 0.876
O 0.126 0.867 0.376
O 0.156 0.510 0.183
O 0.156 0.990 0.683
O 0.249 0.641 0.590
O 0.249 0.859 0.090
O 0.751 0.141 0.910
O 0.751 0.359 0.410
O 0.844 0.010 0.317
O 0.844 0.490 0.817
O 0.874 0.133 0.624
O 0.874 0.367 0.124
O 0.983 0.694 0.578
O 0.983 0.806 0.078

6.
Material: ErAs
Method: DFT, PBE-GGA
State: relaxed

Summary:
As for the symmetry: Fm-3m. As for the energy relative to the elements: -1512.9 meV/atom.

Cell: 5.775 5.775 5.775 Å, 90.00 90.00 90.00°
Fractional coordinates of all 8 atoms:
Er 0.000 0.000 0.000
Er 0.000 0.500 0.500
Er 0.500 0.000 0.500
Er 0.500 0.500 0.000
As 0.000 0.000 0.500
As 0.000 0.500 0.000
As 0.500 0.000 0.000
As 0.500 0.500 0.500

7.
Material: Rb2NaTaF6
Method: DFT, PBE-GGA
State: relaxed

Summary:
As for the symmetry: Fm-3m. As for the energy relative to the elements: -2945.4 meV/atom. Its spin magnetization is 2.0 μB/f.u.

Cell: 6.237 6.237 6.237 Å, 60.00 60.00 60.00°
Fractional coordinates of all 10 atoms:
Rb 0.250 0.250 0.250
Rb 0.750 0.750 0.750
Na 0.000 0.000 0.000
Ta 0.500 0.500 0.500
F 0.262 0.262 0.738
F 0.262 0.738 0.262
F 0.262 0.738 0.738
F 0.738 0.262 0.262
F 0.738 0.262 0.738
F 0.738 0.738 0.262

8.
Material: MgZn
Method: DFT, PBE-GGA
State: relaxed

Summary:
As for the symmetry: Pmmn. As for the energy relative to the elements: -17.0 meV/atom. Its spin magnetization is 0.0 μB/f.u.

Cell: 3.028 4.935 4.982 Å, 90.00 90.00 90.00°
Fractional coordinates of all 4 atoms:
Mg 0.250 0.250 0.101
Mg 0.750 0.750 0.899
Zn 0.250 0.750 0.405
Zn 0.750 0.250 0.595

9.
Material: Sm2Fe15Co2
Method: DFT, PBE-GGA
State: relaxed

Summary:
As for the symmetry: Cm. As for the energy relative to the elements: -4.5 meV/atom. Its spin magnetization is 38.2 μB/f.u.

Cell: 6.442 6.442 6.425 Å, 97.57 97.57 82.66°
Fractional coordinates of all 19 atoms:
Sm 0.000 0.000 0.000
Sm 0.683 0.683 0.316
Fe 0.047 0.340 0.365
Fe 0.052 0.632 0.658
Fe 0.182 0.682 0.316
Fe 0.245 0.245 0.753
Fe 0.340 0.047 0.365
Fe 0.341 0.341 0.158
Fe 0.342 0.634 0.952
Fe 0.343 0.840 0.658
Fe 0.437 0.437 0.562
Fe 0.632 0.052 0.658
Fe 0.634 0.342 0.952
Fe 0.682 0.182 0.316
Fe 0.685 0.685 0.819
Fe 0.840 0.343 0.658
Fe 0.999 0.999 0.504
Co 0.002 0.497 0.999
Co 0.497 0.002 0.999

10.
Material: GdCd20Ni2
Method: DFT, PBE-GGA
State: relaxed

Summary:
As for the symmetry: Fd-3m. As for the energy relative to the elements: 145.3 meV/atom. Its spin magnetization is 0.1 μB/f.u.

Cell: 11.161 11.161 11.161 Å, 60.00 60.00 60.00°
Fractional coordinates of all 46 atoms:
Gd 0.125 0.125 0.125
Gd 0.875 0.875 0.875
Cd 0.000 0.000 0.000
Cd 0.000 0.000 0.500
Cd 0.000 0.500 0.000
Cd 0.057 0.323 0.323
Cd 0.057 0.323 0.797
Cd 0.057 0.797 0.323
Cd 0.203 0.677 0.677
Cd 0.203 0.677 0.943
Cd 0.203 0.943 0.677
Cd 0.238 0.238 0.512
Cd 0.238 0.512 0.238
Cd 0.238 0.512 0.512
Cd 0.323 0.057 0.323
Cd 0.323 0.057 0.797
Cd 0.323 0.323 0.057
Cd 0.323 0.323 0.797
Cd 0.323 0.797 0.057
Cd 0.323 0.797 0.323
Cd 0.488 0.488 0.762
Cd 0.488 0.762 0.488
Cd 0.488 0.762 0.762
Cd 0.500 0.000 0.000
Cd 0.512 0.238 0.238
Cd 0.512 0.238 0.512
Cd 0.512 0.512 0.238
Cd 0.677 0.203 0.677
Cd 0.677 0.203 0.943
Cd 0.677 0.677 0.203
Cd 0.677 0.677 0.943
Cd 0.677 0.943 0.203
Cd 0.677 0.943 0.677
Cd 0.762 0.488 0.488
Cd 0.762 0.488 0.762
Cd 0.762 0.762 0.488
Cd 0.797 0.057 0.323
Cd 0.797 0.323 0.057
Cd 0.797 0.323 0.323
Cd 0.943 0.203 0.677
Cd 0.943 0.677 0.203
Cd 0.943 0.677 0.677
Ni 0.000 0.500 0.500
Ni 0.500 0.000 0.500
Ni 0.500 0.500 0.000
Ni 0.500 0.500 0.500

11.
Material: CsK2Pt
Method: DFT, PBE-GGA
State: relaxed

Summary:
As for the symmetry: P4/mbm. As for the energy relative to the elements: 158.1 meV/atom. Its spin magnetization is 0.5 μB/f.u.

Cell: 7.824 7.824 5.592 Å, 90.00 90.00 90.00°
Fractional coordinates of all 8 atoms:
Cs 0.000 0.000 0.000
Cs 0.500 0.500 0.000
K 0.166 0.334 0.500
K 0.334 0.834 0.500
K 0.666 0.166 0.500
K 0.834 0.666 0.500
Pt 0.000 0.500 0.000
Pt 0.500 0.000 0.000

12.
Material: Eu3In2P4
Method: DFT, PBE-GGA
State: relaxed

Summary:
As for the symmetry: Pnnm. As for the energy relative to the elements: -847.2 meV/atom. Its spin magnetization is 21.0 μB/f.u.

Cell: 6.612 16.041 4.301 Å, 90.00 90.00 90.00°
Fractional coordinates of all 18 atoms:
Eu 0.000 0.000 0.000
Eu 0.210 0.301 0.500
Eu 0.290 0.801 0.000
Eu 0.500 0.500 0.500
Eu 0.710 0.199 0.000
Eu 0.790 0.699 0.500
In 0.140 0.587 0.000
In 0.360 0.087 0.500
In 0.640 0.913 0.500
In 0.860 0.413 0.000
P 0.234 0.170 0.000
P 0.250 0.430 0.000
P 0.250 0.930 0.500
P 0.266 0.670 0.500
P 0.734 0.330 0.500
P 0.750 0.070 0.500
P 0.750 0.570 0.000
P 0.766 0.830 0.000

13.
Material: GdNi4Au
Method: DFT, PBE-GGA
State: relaxed

Summary:
As for the symmetry: F-43m. As for the energy relative to the elements: 494.7 meV/atom. Its spin magnetization is 1.3 μB/f.u.

Cell: 4.966 4.966 4.966 Å, 60.00 60.00 60.00°
Fractional coordinates of all 6 atoms:
Gd 0.000 0.000 0.000
Ni 0.375 0.375 0.375
Ni 0.375 0.375 0.875
Ni 0.375 0.875 0.375
Ni 0.875 0.375 0.375
Au 0.750 0.750 0.750